No. 1
Here is a relaxed structure of TiS from the Materials Project database. Energies are from PBE.

## Properties
ΔH_f (0 K) = -1.448 eV/atom
E = -7.213 eV/atom
Magnetic moment = 0.0 Bohr magnetons per cell
Crystal system = hexagonal

The structure in POSCAR format:
```
TiS
1.0
1.662 -2.879 0.000
1.662 2.879 0.000
0.000 0.000 6.403
Ti S
2 2
direct
0.333 0.667 0.250
0.667 0.333 0.750
0.000 0.000 0.000
0.000 0.000 0.500
```

=====

No. 2
Here is a relaxed structure of Ca2SnS4 from the Materials Project database. Energies are from PBE.

## Properties
ΔH_f (0 K) = -1.320 eV/atom
E = -4.542 eV/atom
Magnetic moment = 0.0 Bohr magnetons per cell
Crystal system = tetragonal

The structure in POSCAR format:
```
Ca2SnS4
1.0
-3.201 -3.280 6.455
-5.182 3.336 4.968
1.522 -1.266 -7.665
Ca Sn S
2 1 4
direct
0.364 0.364 0.000
0.636 0.636 0.000
0.000 0.000 0.000
0.000 0.500 0.500
0.500 0.000 0.500
0.175 0.175 0.000
0.825 0.825 0.000
```